CaSb2O4 | PBE | optimized geometry

```
CaSb2O4
1.0
3.6404 0.0000 0.0000
0.0000 11.1644 0.0000
0.0000 0.0000 10.8097
Ca Sb O
4 8 16
direct
0.1082 0.1357 0.2500
0.1082 0.3643 0.7500
0.8918 0.6357 0.2500
0.8918 0.8643 0.7500
0.3452 0.6197 0.5780
0.3452 0.6197 0.9220
0.3452 0.8803 0.0780
0.3452 0.8803 0.4220
0.6548 0.1197 0.5780
0.6548 0.1197 0.9220
0.6548 0.3803 0.0780
0.6548 0.3803 0.4220
0.3176 0.2500 0.0000
0.3176 0.2500 0.5000
0.4044 0.5396 0.1175
0.4044 0.5396 0.3825
0.4044 0.9604 0.6175
0.4044 0.9604 0.8825
0.4948 0.7016 0.7500
0.4948 0.7984 0.2500
0.5052 0.2016 0.7500
0.5052 0.2984 0.2500
0.5956 0.0396 0.1175
0.5956 0.0396 0.3825
0.5956 0.4604 0.6175
0.5956 0.4604 0.8825
0.6824 0.7500 0.0000
0.6824 0.7500 0.5000
```

Calculated values
E above lowest polymorph (eV per atom): 0.098
DFT formation energy (eV/atom): -2.08
Total energy after the MP2020 corrections (eV/atom): -6.376
VASP energy (eV/cell): -167.55


CaSb2O4 | PBE | optimized geometry

```
CaSb2O4
1.0
6.8770 -1.7340 0.0000
6.8770 1.7340 0.0000
-5.0377 0.0000 10.1710
Ca Sb O
2 4 8
direct
0.2344 0.2344 0.2422
0.7656 0.7656 0.7578
0.1170 0.1170 0.8821
0.3862 0.3862 0.5875
0.6138 0.6138 0.4125
0.8830 0.8830 0.1179
0.0801 0.0801 0.2908
0.2439 0.2439 0.6037
0.2710 0.2710 0.8977
0.4027 0.4027 0.2350
0.5973 0.5973 0.7650
0.7290 0.7290 0.1023
0.7561 0.7561 0.3963
0.9199 0.9199 0.7092
```

Calculated values
E above lowest polymorph (eV per atom): 0.004
DFT formation energy (eV/atom): -2.18
Total energy after the MP2020 corrections (eV/atom): -6.470
VASP energy (eV/cell): -85.08